SmZn2 PBE relaxed; calculated total energy = -2.79 eV per atom
1.0
4.559 0.000 0.000
2.279 3.668 3.793
2.279 -3.668 3.793
Sm Zn
2 4
Cartesian
4.559 -1.834 3.538
4.559 1.834 4.048
4.559 0.360 1.257
4.559 -0.360 6.329
6.838 -0.360 5.050
2.279 0.360 2.536



K3Be PBE relaxed; calculated total energy = -1.11 eV per atom
1.0
5.174 -2.552 2.632
-0.581 -4.640 4.282
1.722 -5.919 -1.486
K Be
3 1
Cartesian
1.579 -3.278 1.357
4.736 -9.833 4.070
3.157 -6.555 2.714
0.000 0.000 0.000



TbCuTe2 PBE relaxed; MP2020-corrected energy = -4.85 eV/atom; calculated total energy = -4.63 eV per atom
1.0
-4.350 -7.534 0.000
-4.349 7.534 0.000
0.000 0.000 -13.939
Tb Cu Te
8 8 16
Cartesian
-6.466 -3.733 -3.343
-4.350 -0.068 -3.343
-2.233 -3.733 -3.343
-2.233 3.733 -10.596
-4.349 0.068 -10.596
-6.466 3.733 -10.596
-8.699 0.000 -3.550
0.000 0.000 -10.389
-4.350 2.511 -12.929
-4.349 -2.511 -1.010
-2.153 1.243 -7.985
-6.546 1.243 -7.985
-4.350 5.048 -7.984
-6.546 -1.243 -5.954
-2.153 -1.243 -5.954
-4.349 -5.048 -5.955
-6.573 -1.227 -1.665
-2.126 -1.227 -1.665
-4.350 -5.079 -1.665
-2.126 1.227 -12.274
-6.573 1.227 -12.274
-4.349 5.079 -12.274
-4.349 4.931 -5.307
-2.254 1.301 -5.307
-6.445 1.301 -5.307
-4.350 -4.931 -8.632
-6.445 -1.302 -8.632
-2.254 -1.301 -8.632
-4.350 2.511 -1.676
-4.349 -2.511 -12.263
-4.350 -2.511 -5.338
-4.349 2.511 -8.601



As7Rh12 PBE relaxed; calculated total energy = -6.77 eV per atom
1.0
0.000 0.000 -3.727
-4.703 -8.147 0.000
-4.703 8.147 0.000
As Rh
7 12
Cartesian
0.000 0.000 -2.190
-5.306 4.522 -2.795
-2.838 2.334 -2.795
-5.967 1.290 -2.795
-4.123 -4.512 -0.944
-6.550 -2.320 -0.944
-3.438 -1.314 -0.944
-8.178 -1.969 -2.816
-2.319 -0.080 -2.816
-3.613 -6.098 -2.816
-1.144 1.857 -0.949
-7.227 0.062 -0.949
-5.740 6.228 -0.949
-3.055 -3.108 -2.811
-5.867 -3.947 -2.811
-5.188 -1.092 -2.811
-6.329 3.090 -0.923
-3.566 3.936 -0.923
-4.215 1.120 -0.923



Ca6HfO8 PBE relaxed; MP2020-corrected energy = -7.58 eV/atom; calculated total energy = -7.21 eV per atom
1.0
0.000 4.802 4.802
4.802 0.000 4.802
4.802 4.802 0.000
Ca Hf O
6 1 8
Cartesian
0.000 2.401 2.401
2.401 4.802 2.401
2.401 2.401 0.000
2.401 2.401 4.802
2.401 0.000 2.401
4.802 2.401 2.401
0.000 0.000 0.000
2.110 4.802 4.802
2.401 2.401 2.401
4.802 2.110 4.802
4.802 4.802 2.110
4.802 7.494 4.802
4.802 4.802 7.494
7.203 7.203 7.203
7.494 4.802 4.802



Rb2Ag2SnP3Se9 PBE relaxed; MP2020-corrected energy = -4.17 eV/atom; calculated total energy = -3.92 eV per atom
1.0
-2.376 -7.327 -1.553
9.602 -1.856 -5.931
18.138 -8.737 13.472
Rb Ag Sn P Se
8 8 4 12 36
Cartesian
3.802 -2.170 1.817
11.994 -9.242 7.980
21.563 -15.751 4.170
13.370 -8.678 -1.992
9.263 -11.643 3.696
19.198 -13.341 10.998
16.102 -6.278 2.292
6.167 -4.580 -5.010
8.144 -8.455 -1.069
17.056 -13.308 5.564
17.221 -9.465 7.057
8.309 -4.612 0.424
10.775 -7.221 0.629
20.683 -9.004 7.913
14.590 -10.700 5.359
4.682 -8.917 -1.925
8.784 -7.162 2.777
18.766 -8.716 10.110
16.580 -10.758 3.211
6.598 -9.204 -4.122
6.939 -4.027 3.841
15.363 -10.385 10.155
18.426 -13.894 2.147
10.002 -7.535 -4.167
5.997 -9.662 1.631
15.660 -12.202 8.755
19.367 -8.258 4.356
9.705 -5.719 -2.768
12.855 -9.870 2.301
21.301 -16.162 8.630
12.510 -8.050 3.686
4.064 -1.759 -2.642
15.060 -4.993 -0.812
23.100 -12.535 5.252
10.305 -12.927 6.799
2.264 -5.386 0.736
8.269 -5.509 4.915
17.158 -10.435 11.533
17.096 -12.411 1.073
8.207 -7.485 -5.545
9.867 -9.354 -2.925
19.193 -12.932 3.978
15.497 -8.566 8.913
6.172 -4.989 2.009
11.399 -5.614 -1.389
20.527 -9.799 5.386
13.966 -12.307 7.376
4.837 -8.121 0.602
7.624 -10.588 0.385
17.660 -11.975 7.753
17.741 -7.332 5.602
7.705 -5.945 -1.766
6.791 -8.940 3.607
15.665 -13.911 10.215
18.574 -8.981 2.381
9.700 -4.009 -4.228
11.243 -9.858 0.802
20.155 -14.709 7.435
14.122 -8.063 5.186
5.209 -3.211 -1.448
12.534 -6.244 2.456
21.351 -11.391 9.027
12.831 -11.677 3.532
4.014 -6.530 -3.039
10.505 -8.404 4.662
2.509 -0.726 -1.372
14.860 -9.516 1.325
22.856 -17.194 7.360



SrZn2N2 PBE relaxed; MP2020-corrected energy = -4.59 eV/atom; calculated total energy = -4.45 eV per atom
1.0
3.573 0.000 0.000
-1.787 3.095 0.000
0.000 0.000 6.279
Sr Zn N
1 2 2
Cartesian
0.000 0.000 3.139
1.787 1.032 0.811
0.000 2.063 5.468
1.787 1.032 4.864
0.000 2.063 1.415



Y10Mn13C18 PBE relaxed; calculated total energy = -8.84 eV per atom
1.0
-5.049 5.049 5.049
5.049 -5.049 5.049
5.049 5.049 -5.049
Y Mn C
10 13 18
Cartesian
2.525 0.000 5.049
0.000 2.525 5.049
5.049 0.000 2.525
5.049 2.525 0.000
2.525 5.049 0.000
0.000 5.049 2.525
-2.063 2.063 2.063
2.063 -2.063 2.063
2.063 2.063 -2.063
2.986 2.986 2.986
0.000 0.000 0.000
0.775 -0.775 7.503
-2.454 4.274 4.274
0.775 7.503 -0.775
-0.775 0.775 7.503
7.503 0.775 -0.775
4.274 -2.454 4.274
4.274 4.274 -2.454
7.503 -0.775 0.775
-0.775 7.503 0.775
0.775 0.775 2.595
2.595 0.775 0.775
0.775 2.595 0.775
-2.450 2.450 4.652
5.446 2.450 2.450
-2.450 4.652 2.450
2.450 -2.450 4.652
4.652 -2.450 2.450
2.450 5.446 2.450
2.450 2.450 5.446
4.652 2.450 -2.450
2.450 4.652 -2.450
2.599 2.599 0.397
0.397 2.599 2.599
2.599 0.397 2.599
0.000 0.000 5.744
4.354 0.000 0.000
0.000 5.744 0.000
5.744 0.000 0.000
0.000 4.354 0.000
0.000 0.000 4.354